# 1
Computed, not measured: Hg2PCl2 after structural relaxation at the PBE level of DFT.

Output
* crystal system: monoclinic
* E_tot: -2.35 eV per atom

a = 6.035 Å, b = 6.035 Å, c = 7.747 Å
α = 70.76°, β = 70.76°, γ = 85.15°
Sites, in units of the cell vectors:
Hg 0.500 0.000 0.000
Hg 0.000 0.500 0.000
Hg 0.707 0.707 0.572
Hg 0.293 0.293 0.428
P 0.638 0.638 0.916
P 0.362 0.362 0.084
Cl 0.723 0.277 0.500
Cl 0.277 0.723 0.500
Cl 0.108 0.108 0.779
Cl 0.892 0.892 0.221

=====

# 2
Computed, not measured: Hg6P4PbCl6 after structural relaxation at the PBE level of DFT.

Output
* crystal system: cubic
* E_tot: -2.72 eV per atom

a = 12.131 Å, b = 12.131 Å, c = 12.131 Å
α = 90.00°, β = 90.00°, γ = 90.00°
Sites, in units of the cell vectors:
Hg 0.285 0.984 0.776
Hg 0.224 0.785 0.516
Hg 0.484 0.724 0.715
Hg 0.785 0.516 0.224
Hg 0.724 0.715 0.484
Hg 0.984 0.776 0.285
Hg 0.715 0.484 0.724
Hg 0.776 0.285 0.984
Hg 0.516 0.224 0.785
Hg 0.215 0.016 0.276
Hg 0.276 0.215 0.016
Hg 0.016 0.276 0.215
Hg 0.986 0.730 0.783
Hg 0.217 0.486 0.770
Hg 0.230 0.717 0.014
Hg 0.486 0.770 0.217
Hg 0.717 0.014 0.230
Hg 0.730 0.783 0.986
Hg 0.014 0.230 0.717
Hg 0.783 0.986 0.730
Hg 0.770 0.217 0.486
Hg 0.514 0.270 0.283
Hg 0.283 0.514 0.270
Hg 0.270 0.283 0.514
P 0.289 0.789 0.711
P 0.789 0.711 0.289
P 0.711 0.289 0.789
P 0.211 0.211 0.211
P 0.183 0.683 0.817
P 0.683 0.817 0.183
P 0.817 0.183 0.683
P 0.317 0.317 0.317
P 0.815 0.315 0.185
P 0.315 0.185 0.815
P 0.185 0.815 0.315
P 0.685 0.685 0.685
P 0.710 0.210 0.290
P 0.210 0.290 0.710
P 0.290 0.710 0.210
P 0.790 0.790 0.790
Pb 0.478 0.978 0.522
Pb 0.978 0.522 0.478
Pb 0.522 0.478 0.978
Pb 0.022 0.022 0.022
Cl 0.042 0.986 0.796
Cl 0.204 0.542 0.514
Cl 0.486 0.704 0.958
Cl 0.542 0.514 0.204
Cl 0.704 0.958 0.486
Cl 0.986 0.796 0.042
Cl 0.958 0.486 0.704
Cl 0.796 0.042 0.986
Cl 0.514 0.204 0.542
Cl 0.458 0.014 0.296
Cl 0.296 0.458 0.014
Cl 0.014 0.296 0.458
Cl 0.269 0.954 0.020
Cl 0.980 0.769 0.546
Cl 0.454 0.480 0.731
Cl 0.769 0.546 0.980
Cl 0.480 0.731 0.454
Cl 0.954 0.020 0.269
Cl 0.731 0.454 0.480
Cl 0.020 0.269 0.954
Cl 0.546 0.980 0.769
Cl 0.231 0.046 0.520
Cl 0.520 0.231 0.046
Cl 0.046 0.520 0.231

=====

# 3
Computed, not measured: SnHg6P4Cl6 after structural relaxation at the PBE level of DFT.

Output
* crystal system: cubic
* E_tot: -2.72 eV per atom

a = 12.134 Å, b = 12.134 Å, c = 12.134 Å
α = 90.00°, β = 90.00°, γ = 90.00°
Sites, in units of the cell vectors:
Sn 0.725 0.725 0.725
Sn 0.775 0.275 0.225
Sn 0.225 0.775 0.275
Sn 0.275 0.225 0.775
Hg 0.971 0.016 0.762
Hg 0.975 0.765 0.461
Hg 0.529 0.984 0.262
Hg 0.484 0.238 0.471
Hg 0.738 0.029 0.516
Hg 0.262 0.529 0.984
Hg 0.984 0.262 0.529
Hg 0.029 0.516 0.738
Hg 0.025 0.265 0.039
Hg 0.525 0.235 0.961
Hg 0.516 0.738 0.029
Hg 0.238 0.471 0.484
Hg 0.265 0.039 0.025
Hg 0.016 0.762 0.971
Hg 0.539 0.475 0.735
Hg 0.475 0.735 0.539
Hg 0.039 0.025 0.265
Hg 0.762 0.971 0.016
Hg 0.735 0.539 0.475
Hg 0.461 0.975 0.765
Hg 0.235 0.961 0.525
Hg 0.471 0.484 0.238
Hg 0.765 0.461 0.975
Hg 0.961 0.525 0.235
P 0.436 0.936 0.564
P 0.565 0.935 0.065
P 0.959 0.959 0.959
P 0.540 0.540 0.540
P 0.936 0.564 0.436
P 0.435 0.435 0.435
P 0.459 0.541 0.041
P 0.041 0.459 0.541
P 0.564 0.436 0.936
P 0.935 0.065 0.565
P 0.064 0.064 0.064
P 0.460 0.040 0.960
P 0.065 0.565 0.935
P 0.960 0.460 0.040
P 0.040 0.960 0.460
P 0.541 0.041 0.459
Cl 0.028 0.265 0.298
Cl 0.528 0.235 0.702
Cl 0.743 0.292 0.439
Cl 0.061 0.257 0.792
Cl 0.708 0.939 0.757
Cl 0.292 0.439 0.743
Cl 0.257 0.792 0.061
Cl 0.735 0.798 0.472
Cl 0.702 0.528 0.235
Cl 0.798 0.472 0.735
Cl 0.757 0.708 0.939
Cl 0.243 0.208 0.561
Cl 0.439 0.743 0.292
Cl 0.972 0.765 0.202
Cl 0.235 0.702 0.528
Cl 0.765 0.202 0.972
Cl 0.472 0.735 0.798
Cl 0.792 0.061 0.257
Cl 0.298 0.028 0.265
Cl 0.561 0.243 0.208
Cl 0.939 0.757 0.708
Cl 0.265 0.298 0.028
Cl 0.202 0.972 0.765
Cl 0.208 0.561 0.243

=====

# 4
Computed, not measured: RbHg5Cl11 after structural relaxation at the PBE level of DFT.

Output
* crystal system: monoclinic
* E_tot: -2.11 eV per atom

a = 9.680 Å, b = 9.680 Å, c = 6.723 Å
α = 71.46°, β = 71.46°, γ = 99.98°
Sites, in units of the cell vectors:
Rb 0.000 0.000 0.000
Hg 0.352 0.015 0.314
Hg 0.648 0.985 0.686
Hg 0.985 0.648 0.686
Hg 0.015 0.352 0.314
Hg 0.500 0.500 0.000
Cl 0.649 0.649 0.611
Cl 0.351 0.351 0.389
Cl 0.702 0.139 0.306
Cl 0.298 0.861 0.694
Cl 0.861 0.298 0.694
Cl 0.139 0.702 0.306
Cl 0.000 0.000 0.500
Cl 0.582 0.832 0.070
Cl 0.418 0.168 0.930
Cl 0.168 0.418 0.930
Cl 0.832 0.582 0.070

=====

# 5
Computed, not measured: Rb2ScHgCl6 after structural relaxation at the PBE level of DFT.

Output
* crystal system: cubic
* E_tot: -3.63 eV per atom

a = 7.676 Å, b = 7.676 Å, c = 7.676 Å
α = 60.00°, β = 60.00°, γ = 60.00°
Sites, in units of the cell vectors:
Rb 0.750 0.750 0.750
Rb 0.250 0.250 0.250
Sc 0.000 0.000 0.000
Hg 0.500 0.500 0.500
Cl 0.770 0.230 0.230
Cl 0.230 0.230 0.770
Cl 0.230 0.770 0.770
Cl 0.230 0.770 0.230
Cl 0.770 0.230 0.770
Cl 0.770 0.770 0.230

=====

# 6
Computed, not measured: ZrHg3Se2Cl6 after structural relaxation at the PBE level of DFT.

Output
* crystal system: monoclinic
* E_tot: -3.31 eV per atom

a = 7.732 Å, b = 6.786 Å, c = 13.504 Å
α = 88.23°, β = 90.00°, γ = 90.00°
Sites, in units of the cell vectors:
Zr 0.500 0.500 0.500
Zr 0.000 0.500 0.000
Hg 0.294 0.007 0.739
Hg 0.794 0.993 0.761
Hg 0.206 0.007 0.239
Hg 0.500 0.000 0.000
Hg 0.706 0.993 0.261
Hg 0.000 0.000 0.500
Se 0.463 0.821 0.169
Se 0.963 0.179 0.331
Se 0.037 0.821 0.669
Se 0.537 0.179 0.831
Cl 0.351 0.809 0.442
Cl 0.222 0.363 0.566
Cl 0.051 0.352 0.836
Cl 0.278 0.363 0.066
Cl 0.778 0.637 0.434
Cl 0.149 0.809 0.942
Cl 0.449 0.352 0.336
Cl 0.851 0.191 0.058
Cl 0.949 0.648 0.164
Cl 0.551 0.648 0.664
Cl 0.649 0.191 0.558
Cl 0.722 0.637 0.934

=====

# 7
Computed, not measured: Hg3Te2Cl2 after structural relaxation at the PBE level of DFT.

Output
* piezoelectric modulus e_max: 0.3 C/m²
* crystal system: cubic
* E_tot: -1.96 eV per atom

a = 8.363 Å, b = 8.363 Å, c = 8.363 Å
α = 109.47°, β = 109.47°, γ = 109.47°
Sites, in units of the cell vectors:
Hg 0.933 0.250 0.183
Hg 0.750 0.317 0.567
Hg 0.183 0.933 0.250
Hg 0.250 0.183 0.933
Hg 0.317 0.567 0.750
Hg 0.567 0.750 0.317
Te 0.557 0.500 0.000
Te 0.943 0.943 0.943
Te 0.500 0.000 0.557
Te 0.000 0.557 0.500
Cl 0.019 0.500 0.000
Cl 0.481 0.481 0.481
Cl 0.000 0.019 0.500
Cl 0.500 0.000 0.019

=====

# 8
Computed, not measured: UHg3Te2Cl6 after structural relaxation at the PBE level of DFT.

Output
* crystal system: monoclinic
* E_tot: -3.47 eV per atom

a = 8.082 Å, b = 7.026 Å, c = 14.052 Å
α = 88.07°, β = 90.00°, γ = 90.00°
Sites, in units of the cell vectors:
U 0.000 0.000 0.000
U 0.500 0.000 0.500
Hg 0.788 0.495 0.759
Hg 0.288 0.505 0.741
Hg 0.212 0.505 0.241
Hg 0.712 0.495 0.259
Hg 0.000 0.500 0.500
Hg 0.500 0.500 0.000
Te 0.468 0.302 0.170
Te 0.032 0.302 0.670
Te 0.968 0.698 0.330
Te 0.532 0.698 0.830
Cl 0.339 0.309 0.441
Cl 0.547 0.158 0.664
Cl 0.047 0.842 0.836
Cl 0.224 0.849 0.570
Cl 0.953 0.158 0.164
Cl 0.276 0.849 0.070
Cl 0.661 0.691 0.559
Cl 0.453 0.842 0.336
Cl 0.776 0.151 0.430
Cl 0.839 0.691 0.059
Cl 0.724 0.151 0.930
Cl 0.161 0.309 0.941

=====

# 9
Computed, not measured: Tl10Hg3Cl16 after structural relaxation at the PBE level of DFT.

Output
* crystal system: tetragonal
* E_tot: -2.75 eV per atom

a = 13.664 Å, b = 13.664 Å, c = 13.664 Å
α = 143.10°, β = 143.10°, γ = 53.17°
Sites, in units of the cell vectors:
Tl 0.916 0.452 0.190
Tl 0.452 0.262 0.536
Tl 0.738 0.274 0.190
Tl 0.737 0.737 0.000
Tl 0.084 0.548 0.810
Tl 0.548 0.738 0.464
Tl 0.274 0.084 0.536
Tl 0.726 0.916 0.464
Tl 0.263 0.263 0.000
Tl 0.262 0.726 0.810
Hg 0.000 0.000 0.000
Hg 0.250 0.750 0.500
Hg 0.750 0.250 0.500
Cl 0.394 0.394 0.000
Cl 0.664 0.489 0.524
Cl 0.326 0.849 0.175
Cl 0.035 0.860 0.524
Cl 0.489 0.965 0.825
Cl 0.140 0.664 0.175
Cl 0.860 0.336 0.825
Cl 0.511 0.035 0.175
Cl 0.336 0.511 0.476
Cl 0.097 0.097 0.000
Cl 0.849 0.674 0.522
Cl 0.674 0.151 0.825
Cl 0.965 0.140 0.476
Cl 0.606 0.606 0.000
Cl 0.151 0.326 0.478
Cl 0.903 0.903 0.000

=====

# 10
Computed, not measured: TlHg5Cl11 after structural relaxation at the PBE level of DFT.

Output
* crystal system: monoclinic
* E_tot: -2.08 eV per atom

a = 9.640 Å, b = 9.640 Å, c = 6.689 Å
α = 72.27°, β = 72.27°, γ = 100.83°
Sites, in units of the cell vectors:
Tl 0.500 0.500 0.000
Hg 0.000 0.000 0.000
Hg 0.152 0.483 0.683
Hg 0.517 0.848 0.317
Hg 0.848 0.517 0.317
Hg 0.483 0.152 0.683
Cl 0.500 0.500 0.500
Cl 0.086 0.334 0.066
Cl 0.666 0.914 0.934
Cl 0.914 0.666 0.934
Cl 0.334 0.086 0.066
Cl 0.795 0.365 0.696
Cl 0.854 0.854 0.384
Cl 0.146 0.146 0.616
Cl 0.365 0.795 0.696
Cl 0.205 0.635 0.304
Cl 0.635 0.205 0.304

=====

# 11
Computed, not measured: HoCl3 after structural relaxation at the PBE level of DFT.

Output
* crystal system: hexagonal
* E_tot: -4.74 eV per atom

a = 9.922 Å, b = 9.922 Å, c = 3.587 Å
α = 90.00°, β = 90.00°, γ = 120.00°
Sites, in units of the cell vectors:
Ho 0.333 0.667 0.750
Ho 0.667 0.333 0.250
Cl 0.219 0.438 0.250
Cl 0.562 0.781 0.250
Cl 0.219 0.781 0.250
Cl 0.781 0.562 0.750
Cl 0.438 0.219 0.750
Cl 0.781 0.219 0.750

=====

# 12
Computed, not measured: HoCl2 after structural relaxation at the PBE level of DFT.

Output
* crystal system: tetragonal
* E_tot: -4.61 eV per atom

a = 6.871 Å, b = 6.871 Å, c = 3.459 Å
α = 90.00°, β = 90.00°, γ = 90.00°
Sites, in units of the cell vectors:
Ho 0.000 0.000 0.000
Ho 0.500 0.500 0.500
Cl 0.280 0.280 0.000
Cl 0.720 0.720 0.000
Cl 0.220 0.780 0.500
Cl 0.780 0.220 0.500